(1)
First-principles (GGA-PBE) data for a relaxed structure of Na4Si3SnGeO12, as listed in the Materials Project.

Cell and atoms, written as POSCAR:
```
Na4Si3SnGeO12
1.0
-8.586 -1.882 1.649
5.969 -0.145 6.659
-3.925 21.401 3.985
O Na Si Sn Ge
72 24 18 6 6
Direct
0.198 0.161 0.811
0.855 0.494 0.418
0.513 0.822 0.760
0.779 0.826 0.191
0.223 0.047 0.309
0.691 0.169 0.749
0.174 0.221 0.692
0.835 0.027 0.086
0.883 0.377 0.643
0.963 0.802 0.811
0.026 0.185 0.910
0.494 0.644 0.580
0.178 0.692 0.760
0.131 0.504 0.857
0.192 0.165 0.086
0.550 0.840 0.476
0.159 0.974 0.910
0.308 0.487 0.760
0.293 0.829 0.976
0.162 0.187 0.411
0.779 0.953 0.692
0.852 0.359 0.924
0.469 0.296 0.023
0.825 0.777 0.309
0.135 0.629 0.356
0.840 0.290 0.523
0.953 0.175 0.309
0.815 0.841 0.910
0.511 0.686 0.258
0.505 0.374 0.143
0.869 0.495 0.143
0.489 0.852 0.076
0.824 0.314 0.242
0.710 0.550 0.523
0.977 0.160 0.587
0.174 0.953 0.191
0.490 0.176 0.242
0.450 0.160 0.523
0.496 0.627 0.857
0.047 0.221 0.191
0.371 0.506 0.356
0.290 0.450 0.476
0.373 0.869 0.857
0.536 0.707 0.976
0.494 0.865 0.356
0.171 0.464 0.976
0.813 0.975 0.411
0.626 0.131 0.143
0.148 0.637 0.076
0.494 0.117 0.643
0.047 0.826 0.692
0.641 0.493 0.924
0.623 0.506 0.643
0.478 0.309 0.749
0.149 0.506 0.580
0.176 0.489 0.258
0.183 0.023 0.587
0.507 0.148 0.924
0.506 0.361 0.418
0.704 0.172 0.023
0.840 0.817 0.587
0.686 0.510 0.242
0.160 0.710 0.476
0.363 0.511 0.076
0.828 0.531 0.023
0.314 0.824 0.258
0.973 0.808 0.086
0.839 0.037 0.811
0.831 0.522 0.749
0.025 0.838 0.411
0.356 0.851 0.580
0.639 0.145 0.418
0.000 0.000 0.999
0.002 0.369 0.751
0.299 0.964 0.083
0.667 0.333 0.835
0.000 0.634 0.250
0.967 0.299 0.416
0.033 0.699 0.583
0.000 0.000 0.500
0.333 0.667 0.167
0.667 0.967 0.583
0.301 0.333 0.583
0.332 0.033 0.416
0.665 0.701 0.083
0.333 0.298 0.917
0.702 0.036 0.917
0.036 0.335 0.083
0.634 0.000 0.250
0.333 0.667 0.668
0.366 0.998 0.751
0.667 0.333 0.332
0.964 0.667 0.917
0.631 0.634 0.751
0.701 0.668 0.416
0.366 0.366 0.250
0.332 0.379 0.414
0.667 0.627 0.584
0.300 0.000 0.250
0.621 0.954 0.414
0.333 0.954 0.917
0.662 0.047 0.082
0.006 0.713 0.754
0.046 0.380 0.917
0.385 0.338 0.082
0.287 0.293 0.754
0.700 0.700 0.250
0.620 0.667 0.917
0.046 0.668 0.414
0.960 0.333 0.584
0.373 0.040 0.584
0.953 0.615 0.082
0.000 0.300 0.250
0.707 0.994 0.754
0.333 0.667 0.518
0.000 0.000 0.350
0.000 0.000 0.650
0.667 0.333 0.687
0.667 0.333 0.480
0.000 0.000 0.147
0.333 0.667 0.018
0.667 0.333 0.981
0.000 0.000 0.853
0.667 0.333 0.185
0.333 0.667 0.314
0.333 0.667 0.816
```

SG = No. 143
calculated formation energy = -2590 meV per atom
density = 3.64 g/cm3


(2)
First-principles (GGA-PBE) data for a relaxed structure of Hf2CoCuSn2, as listed in the Materials Project.

Cell and atoms, written as POSCAR:
```
Hf2CoCuSn2
1.0
-2.178 -3.773 0.000
-2.178 3.773 0.000
0.000 0.000 -6.766
Hf Co Sn Cu
2 1 2 1
Direct
0.000 0.000 0.976
0.000 0.000 0.496
0.333 0.667 0.837
0.333 0.667 0.224
0.667 0.333 0.734
0.667 0.333 0.330
```

SG = No. 156
calculated formation energy = -381 meV per atom
density = 10.70 g/cm3


- density of number 1 (Na4Si3SnGeO12)?
  3.64 g/cm3